Density functional theory data (PBE) for a relaxed Nd23Cd4Ir7 crystal.

Magnetic moment   0.1 μB per formula unit
DFT formation energy   -470 meV/atom

Cell: 10.0512 10.0512 22.6414 Å, 90.00 90.00 120.00°
Sites, in units of the cell vectors:
Nd 0.0000 0.0000 0.0513
Nd 0.0000 0.0000 0.5513
Nd 0.0776 0.5388 0.1392
Nd 0.0793 0.5396 0.4094
Nd 0.1274 0.2547 0.6895
Nd 0.1274 0.8726 0.6895
Nd 0.2020 0.4039 0.8359
Nd 0.2020 0.7980 0.8359
Nd 0.2064 0.4128 0.0000
Nd 0.2064 0.4127 0.2739
Nd 0.2064 0.7936 0.0000
Nd 0.2064 0.7936 0.2739
Nd 0.2085 0.4170 0.5432
Nd 0.2085 0.7915 0.5432
Nd 0.2547 0.1274 0.1895
Nd 0.3333 0.6667 0.6989
Nd 0.4039 0.2020 0.3359
Nd 0.4128 0.2064 0.5000
Nd 0.4127 0.2064 0.7739
Nd 0.4170 0.2085 0.0432
Nd 0.4604 0.5396 0.4094
Nd 0.4604 0.9207 0.4094
Nd 0.4612 0.5388 0.1392
Nd 0.4612 0.9224 0.1392
Nd 0.5388 0.0776 0.6392
Nd 0.5388 0.4612 0.6392
Nd 0.5396 0.0793 0.9094
Nd 0.5396 0.4604 0.9094
Nd 0.5830 0.7915 0.5432
Nd 0.5872 0.7936 0.0000
Nd 0.5873 0.7936 0.2739
Nd 0.5961 0.7980 0.8359
Nd 0.6667 0.3333 0.1989
Nd 0.7453 0.8726 0.6895
Nd 0.7915 0.2085 0.0432
Nd 0.7915 0.5830 0.0432
Nd 0.7936 0.2064 0.5000
Nd 0.7936 0.2064 0.7739
Nd 0.7936 0.5872 0.5000
Nd 0.7936 0.5873 0.7739
Nd 0.7980 0.2020 0.3359
Nd 0.7980 0.5961 0.3359
Nd 0.8726 0.1274 0.1895
Nd 0.8726 0.7453 0.1895
Nd 0.9207 0.4604 0.9094
Nd 0.9224 0.4612 0.6392
Cd 0.0000 0.0000 0.3032
Cd 0.0000 0.0000 0.8032
Cd 0.1069 0.2139 0.4170
Cd 0.1069 0.8931 0.4170
Cd 0.2139 0.1069 0.9170
Cd 0.7861 0.8931 0.4170
Cd 0.8931 0.1069 0.9170
Cd 0.8931 0.7861 0.9170
Ir 0.0413 0.5207 0.7637
Ir 0.1439 0.2879 0.1166
Ir 0.1439 0.8561 0.1166
Ir 0.2879 0.1439 0.6166
Ir 0.3333 0.6667 0.9174
Ir 0.4793 0.5207 0.7637
Ir 0.4793 0.9587 0.7637
Ir 0.5207 0.0413 0.2637
Ir 0.5207 0.4793 0.2637
Ir 0.6667 0.3333 0.4174
Ir 0.7121 0.8561 0.1166
Ir 0.8561 0.1439 0.6166
Ir 0.8561 0.7121 0.6166
Ir 0.9587 0.4793 0.2637